(1)
VASP calculation (PBE) on a relaxed structure of H8PtO6.

Formation enthalpy at 0 K (eV/atom): -1.13
Calculated volume (Å³ per atom): 7.78
Corrected total energy (MP2020 scheme) (eV per atom): -5.323
Magnetization (μB per cell): 0.00

a b c (Å): 5.597 5.708 7.491
angles (deg): 87.77 84.29 78.77
Sites, in units of the cell vectors:
1 H 0.912 0.280 0.239
2 H 0.744 0.985 0.273
3 H 0.864 0.610 0.849
4 H 0.155 0.485 0.825
5 H 0.271 0.926 0.750
6 H 0.467 0.469 0.003
7 H 0.205 0.397 0.107
8 H 0.578 0.813 0.630
9 H 0.551 0.696 0.438
10 H 0.758 0.603 0.096
11 H 0.384 0.214 0.590
12 H 0.426 0.205 0.375
13 H 0.174 0.846 0.201
14 H 0.036 0.939 0.483
15 H 0.957 0.026 0.978
16 H 0.856 0.172 0.704
17 Pt 0.999 0.496 0.501
18 Pt 0.507 0.000 0.000
19 O 0.968 0.432 0.242
20 O 0.568 0.009 0.260
21 O 0.028 0.592 0.759
22 O 0.423 0.990 0.740
23 O 0.341 0.359 0.002
24 O 0.644 0.663 0.545
25 O 0.664 0.651 0.989
26 O 0.355 0.323 0.480
27 O 0.191 0.882 0.067
28 O 0.126 0.794 0.413
29 O 0.813 0.130 0.923
30 O 0.889 0.185 0.569



(2)
VASP calculation (PBE) on a relaxed structure of NaCaP3O6.

Formation enthalpy at 0 K (eV/atom): -2.40
Calculated volume (Å³ per atom): 22.01
Corrected total energy (MP2020 scheme) (eV per atom): -6.873
Magnetization (μB per cell): 0.00

a b c (Å): 9.893 9.893 9.893
angles (deg): 90.00 90.00 90.00
Sites, in units of the cell vectors:
1 Na 0.872 0.372 0.128
2 Na 0.372 0.128 0.872
3 Na 0.128 0.872 0.372
4 Na 0.628 0.628 0.628
5 Ca 0.326 0.826 0.674
6 Ca 0.826 0.674 0.326
7 Ca 0.674 0.326 0.826
8 Ca 0.174 0.174 0.174
9 P 0.982 0.699 0.660
10 P 0.340 0.482 0.801
11 P 0.199 0.840 0.018
12 P 0.482 0.801 0.340
13 P 0.840 0.018 0.199
14 P 0.699 0.660 0.982
15 P 0.018 0.199 0.840
16 P 0.660 0.982 0.699
17 P 0.801 0.340 0.482
18 P 0.518 0.301 0.160
19 P 0.160 0.518 0.301
20 P 0.301 0.160 0.518
21 O 0.863 0.695 0.562
22 O 0.438 0.363 0.805
23 O 0.195 0.938 0.137
24 O 0.363 0.805 0.438
25 O 0.938 0.137 0.195
26 O 0.695 0.562 0.863
27 O 0.137 0.195 0.938
28 O 0.562 0.863 0.695
29 O 0.805 0.438 0.363
30 O 0.637 0.305 0.062
31 O 0.062 0.637 0.305
32 O 0.305 0.062 0.637
33 O 0.098 0.788 0.611
34 O 0.389 0.598 0.712
35 O 0.288 0.889 0.902
36 O 0.598 0.712 0.389
37 O 0.889 0.902 0.288
38 O 0.788 0.611 0.098
39 O 0.902 0.288 0.889
40 O 0.611 0.098 0.788
41 O 0.712 0.389 0.598
42 O 0.402 0.212 0.111
43 O 0.111 0.402 0.212
44 O 0.212 0.111 0.402



Number 1: total energy -5.05 eV/atom. Number 2: total energy -6.50 eV/atom.